1.
Material: Pr3Ga5O12
Method: DFT, GGA-PBE
State: optimized geometry

a b c (Å): 11.000 11.000 11.000
angles (deg): 109.47 109.47 109.47
Sites, in units of the cell vectors:
Pr: 0.125 0.250 0.375
Pr: 0.125 0.375 0.750
Pr: 0.250 0.375 0.125
Pr: 0.250 0.875 0.625
Pr: 0.375 0.125 0.250
Pr: 0.375 0.750 0.125
Pr: 0.625 0.250 0.875
Pr: 0.625 0.875 0.750
Pr: 0.750 0.125 0.375
Pr: 0.750 0.625 0.875
Pr: 0.875 0.625 0.250
Pr: 0.875 0.750 0.625
Ga: 0.000 0.000 0.000
Ga: 0.000 0.000 0.500
Ga: 0.000 0.500 0.000
Ga: 0.000 0.500 0.500
Ga: 0.125 0.750 0.875
Ga: 0.125 0.875 0.250
Ga: 0.250 0.125 0.875
Ga: 0.250 0.625 0.375
Ga: 0.375 0.250 0.625
Ga: 0.375 0.625 0.750
Ga: 0.500 0.000 0.000
Ga: 0.500 0.000 0.500
Ga: 0.500 0.500 0.000
Ga: 0.500 0.500 0.500
Ga: 0.625 0.375 0.250
Ga: 0.625 0.750 0.375
Ga: 0.750 0.375 0.625
Ga: 0.750 0.875 0.125
Ga: 0.875 0.125 0.750
Ga: 0.875 0.250 0.125
O: 0.022 0.201 0.118
O: 0.022 0.321 0.904
O: 0.082 0.701 0.679
O: 0.082 0.882 0.404
O: 0.096 0.618 0.418
O: 0.096 0.978 0.679
O: 0.118 0.022 0.201
O: 0.118 0.596 0.918
O: 0.179 0.201 0.582
O: 0.179 0.478 0.596
O: 0.201 0.118 0.022
O: 0.201 0.582 0.179
O: 0.299 0.321 0.918
O: 0.299 0.478 0.382
O: 0.321 0.904 0.022
O: 0.321 0.918 0.299
O: 0.382 0.299 0.478
O: 0.382 0.582 0.904
O: 0.404 0.082 0.882
O: 0.404 0.821 0.522
O: 0.418 0.096 0.618
O: 0.418 0.821 0.799
O: 0.478 0.382 0.299
O: 0.478 0.596 0.179
O: 0.522 0.404 0.821
O: 0.522 0.618 0.701
O: 0.582 0.179 0.201
O: 0.582 0.904 0.382
O: 0.596 0.179 0.478
O: 0.596 0.918 0.118
O: 0.618 0.418 0.096
O: 0.618 0.701 0.522
O: 0.679 0.082 0.701
O: 0.679 0.096 0.978
O: 0.701 0.522 0.618
O: 0.701 0.679 0.082
O: 0.799 0.418 0.821
O: 0.799 0.882 0.978
O: 0.821 0.522 0.404
O: 0.821 0.799 0.418
O: 0.882 0.404 0.082
O: 0.882 0.978 0.799
O: 0.904 0.022 0.321
O: 0.904 0.382 0.582
O: 0.918 0.118 0.596
O: 0.918 0.299 0.321
O: 0.978 0.679 0.096
O: 0.978 0.799 0.882

Summary:
Crystal system   cubic
Formation energy   -2.887 eV per atom
Magnetic moment   0.00 μB/cell
V   12.81 A^3/atom
Calculated total energy   -6.9178 eV/atom

---

2.
Material: SrPrGa3O7
Method: DFT, GGA-PBE
State: optimized geometry

a b c (Å): 8.095 8.095 5.368
angles (deg): 90.00 90.00 90.27
Sites, in units of the cell vectors:
Sr: 0.162 0.838 0.000
Sr: 0.838 0.162 0.000
Pr: 0.337 0.337 0.979
Pr: 0.663 0.663 0.979
Ga: 0.000 0.500 0.492
Ga: 0.145 0.145 0.524
Ga: 0.357 0.643 0.456
Ga: 0.500 0.000 0.492
Ga: 0.643 0.357 0.456
Ga: 0.855 0.855 0.524
O: 0.000 0.000 0.676
O: 0.094 0.341 0.699
O: 0.149 0.149 0.188
O: 0.165 0.581 0.285
O: 0.341 0.094 0.699
O: 0.370 0.630 0.794
O: 0.419 0.835 0.285
O: 0.500 0.500 0.285
O: 0.581 0.165 0.285
O: 0.630 0.370 0.794
O: 0.659 0.906 0.699
O: 0.835 0.419 0.285
O: 0.851 0.851 0.188
O: 0.906 0.659 0.699

Summary:
Crystal system   orthorhombic
Formation energy   -2.829 eV per atom
Magnetic moment   0.00 μB/cell
V   14.66 A^3/atom
Calculated total energy   -6.6106 eV/atom

---

3.
Material: Pr10Ti9GaO34
Method: DFT, GGA-PBE
State: optimized geometry

a b c (Å): 7.793 5.535 32.076
angles (deg): 90.00 97.06 90.00
Sites, in units of the cell vectors:
Pr: 0.143 0.114 0.279
Pr: 0.143 0.386 0.779
Pr: 0.213 0.515 0.418
Pr: 0.213 0.985 0.918
Pr: 0.258 0.508 0.006
Pr: 0.258 0.992 0.506
Pr: 0.300 0.003 0.096
Pr: 0.300 0.497 0.596
Pr: 0.356 0.551 0.201
Pr: 0.356 0.949 0.701
Pr: 0.644 0.051 0.299
Pr: 0.644 0.449 0.799
Pr: 0.700 0.503 0.404
Pr: 0.700 0.997 0.904
Pr: 0.742 0.008 0.494
Pr: 0.742 0.492 0.994
Pr: 0.787 0.015 0.082
Pr: 0.787 0.485 0.582
Pr: 0.857 0.614 0.221
Pr: 0.857 0.886 0.721
Ti: 0.000 0.000 0.000
Ti: 0.000 0.500 0.500
Ti: 0.048 0.516 0.093
Ti: 0.048 0.984 0.593
Ti: 0.079 0.046 0.176
Ti: 0.079 0.454 0.676
Ti: 0.406 0.555 0.321
Ti: 0.406 0.945 0.821
Ti: 0.455 0.014 0.406
Ti: 0.455 0.486 0.906
Ti: 0.545 0.514 0.094
Ti: 0.545 0.986 0.594
Ti: 0.594 0.055 0.179
Ti: 0.594 0.445 0.679
Ti: 0.921 0.546 0.324
Ti: 0.921 0.954 0.824
Ti: 0.952 0.016 0.407
Ti: 0.952 0.484 0.907
Ga: 0.500 0.000 0.000
Ga: 0.500 0.500 0.500
O: 0.022 0.715 0.964
O: 0.022 0.785 0.464
O: 0.038 0.201 0.119
O: 0.038 0.299 0.619
O: 0.062 0.712 0.551
O: 0.062 0.788 0.051
O: 0.083 0.186 0.711
O: 0.083 0.314 0.211
O: 0.128 0.713 0.137
O: 0.128 0.787 0.637
O: 0.130 0.673 0.721
O: 0.130 0.827 0.221
O: 0.166 0.045 0.831
O: 0.166 0.455 0.331
O: 0.207 0.071 0.411
O: 0.207 0.429 0.911
O: 0.247 0.077 0.997
O: 0.247 0.423 0.497
O: 0.290 0.069 0.581
O: 0.290 0.431 0.081
O: 0.337 0.101 0.171
O: 0.337 0.399 0.671
O: 0.371 0.664 0.795
O: 0.371 0.836 0.295
O: 0.404 0.156 0.774
O: 0.404 0.344 0.274
O: 0.421 0.698 0.381
O: 0.421 0.802 0.881
O: 0.440 0.717 0.964
O: 0.440 0.783 0.464
O: 0.487 0.718 0.551
O: 0.487 0.782 0.051
O: 0.491 0.207 0.362
O: 0.491 0.293 0.862
O: 0.509 0.707 0.138
O: 0.509 0.793 0.638
O: 0.513 0.218 0.949
O: 0.513 0.282 0.449
O: 0.560 0.217 0.536
O: 0.560 0.283 0.036
O: 0.579 0.198 0.119
O: 0.579 0.302 0.619
O: 0.596 0.656 0.726
O: 0.596 0.844 0.226
O: 0.629 0.164 0.705
O: 0.629 0.336 0.205
O: 0.663 0.601 0.329
O: 0.663 0.899 0.829
O: 0.710 0.569 0.919
O: 0.710 0.931 0.419
O: 0.753 0.577 0.503
O: 0.753 0.923 0.003
O: 0.793 0.571 0.089
O: 0.793 0.929 0.589
O: 0.834 0.545 0.669
O: 0.834 0.955 0.169
O: 0.870 0.173 0.779
O: 0.870 0.327 0.279
O: 0.872 0.213 0.363
O: 0.872 0.287 0.863
O: 0.917 0.686 0.789
O: 0.917 0.814 0.289
O: 0.938 0.212 0.949
O: 0.938 0.288 0.449
O: 0.962 0.701 0.381
O: 0.962 0.799 0.881
O: 0.978 0.215 0.536
O: 0.978 0.285 0.036

Summary:
Crystal system   monoclinic
Formation energy   -3.640 eV per atom
Magnetic moment   1.74 μB/cell
V   12.71 A^3/atom
Calculated total energy   -8.5804 eV/atom

---

Q: Which value of V does entry 2 give?
A: 14.66 A^3/atom

---

Repeat the first record exactly.
Material: Pr3Ga5O12
Method: DFT, GGA-PBE
State: optimized geometry

a b c (Å): 11.000 11.000 11.000
angles (deg): 109.47 109.47 109.47
Sites, in units of the cell vectors:
Pr: 0.125 0.250 0.375
Pr: 0.125 0.375 0.750
Pr: 0.250 0.375 0.125
Pr: 0.250 0.875 0.625
Pr: 0.375 0.125 0.250
Pr: 0.375 0.750 0.125
Pr: 0.625 0.250 0.875
Pr: 0.625 0.875 0.750
Pr: 0.750 0.125 0.375
Pr: 0.750 0.625 0.875
Pr: 0.875 0.625 0.250
Pr: 0.875 0.750 0.625
Ga: 0.000 0.000 0.000
Ga: 0.000 0.000 0.500
Ga: 0.000 0.500 0.000
Ga: 0.000 0.500 0.500
Ga: 0.125 0.750 0.875
Ga: 0.125 0.875 0.250
Ga: 0.250 0.125 0.875
Ga: 0.250 0.625 0.375
Ga: 0.375 0.250 0.625
Ga: 0.375 0.625 0.750
Ga: 0.500 0.000 0.000
Ga: 0.500 0.000 0.500
Ga: 0.500 0.500 0.000
Ga: 0.500 0.500 0.500
Ga: 0.625 0.375 0.250
Ga: 0.625 0.750 0.375
Ga: 0.750 0.375 0.625
Ga: 0.750 0.875 0.125
Ga: 0.875 0.125 0.750
Ga: 0.875 0.250 0.125
O: 0.022 0.201 0.118
O: 0.022 0.321 0.904
O: 0.082 0.701 0.679
O: 0.082 0.882 0.404
O: 0.096 0.618 0.418
O: 0.096 0.978 0.679
O: 0.118 0.022 0.201
O: 0.118 0.596 0.918
O: 0.179 0.201 0.582
O: 0.179 0.478 0.596
O: 0.201 0.118 0.022
O: 0.201 0.582 0.179
O: 0.299 0.321 0.918
O: 0.299 0.478 0.382
O: 0.321 0.904 0.022
O: 0.321 0.918 0.299
O: 0.382 0.299 0.478
O: 0.382 0.582 0.904
O: 0.404 0.082 0.882
O: 0.404 0.821 0.522
O: 0.418 0.096 0.618
O: 0.418 0.821 0.799
O: 0.478 0.382 0.299
O: 0.478 0.596 0.179
O: 0.522 0.404 0.821
O: 0.522 0.618 0.701
O: 0.582 0.179 0.201
O: 0.582 0.904 0.382
O: 0.596 0.179 0.478
O: 0.596 0.918 0.118
O: 0.618 0.418 0.096
O: 0.618 0.701 0.522
O: 0.679 0.082 0.701
O: 0.679 0.096 0.978
O: 0.701 0.522 0.618
O: 0.701 0.679 0.082
O: 0.799 0.418 0.821
O: 0.799 0.882 0.978
O: 0.821 0.522 0.404
O: 0.821 0.799 0.418
O: 0.882 0.404 0.082
O: 0.882 0.978 0.799
O: 0.904 0.022 0.321
O: 0.904 0.382 0.582
O: 0.918 0.118 0.596
O: 0.918 0.299 0.321
O: 0.978 0.679 0.096
O: 0.978 0.799 0.882

Summary:
Crystal system   cubic
Formation energy   -2.887 eV per atom
Magnetic moment   0.00 μB/cell
V   12.81 A^3/atom
Calculated total energy   -6.9178 eV/atom